<P>
15
Lattice="-0.287 -0.207 -6.000 -0.534 -6.245 0.163 -5.461 -1.935 0.910" Properties=species:S:1:pos:R:3 comment="Na6MgCo2O6 | the Materials Project database | PBE with a Hubbard U | optimized geometry" m_tot_mub_per_fu=6.0 pbc="T T T"
Na -4.147 -4.388 -1.535
Na -2.135 -3.999 -3.391
Na -3.422 -2.500 0.581
Na -2.861 -5.887 -5.507
Na -0.554 -5.466 -1.408
Na -5.729 -2.922 -3.518
Mg -0.555 -3.330 -5.918
Co -4.364 -6.664 -3.138
Co -1.919 -1.724 -1.788
O -4.317 -4.786 -3.892
O -1.966 -3.601 -1.034
O -0.675 -5.066 -4.857
O -5.608 -3.322 -0.069
O -2.338 -1.695 -3.791
O -3.945 -6.693 -1.135

***

<Q>
15
Lattice="5.915 -0.169 0.003 0.284 5.644 2.731 -0.076 0.273 6.258" Properties=species:S:1:pos:R:3 comment="Na6MgCo2O6 | the Materials Project database | PBE with a Hubbard U | optimized geometry" m_tot_mub_per_fu=6.0 pbc="T T T"
Na 2.346 2.613 5.392
Na 3.171 4.693 3.395
Na 0.399 0.585 4.928
Na 0.384 4.943 4.633
Na 1.077 3.558 7.636
Na 4.827 1.895 6.953
Mg 5.092 2.536 3.392
Co 4.050 4.706 6.477
Co 2.180 1.082 2.612
O 4.508 3.262 5.127
O 1.169 2.526 3.514
O 4.852 4.247 8.224
O 1.427 0.978 0.746
O 4.234 0.834 2.776
O 2.080 4.963 6.265

***

Name the most stable of them. <Q>.

***

<P>
15
Lattice="-4.596 -2.706 3.858 3.382 -5.321 1.889 1.780 2.323 4.127" Properties=species:S:1:pos:R:3 comment="Na6MgCo2O6 | the Materials Project database | PBE with a Hubbard U | optimized geometry" m_tot_mub_per_fu=6.0 pbc="T T T"
Na 2.074 -3.187 2.053
Na 2.964 -3.983 6.717
Na -0.768 -4.377 4.329
Na 0.648 -1.102 5.714
Na -2.126 -1.735 3.930
Na -1.633 -2.550 7.011
Mg 1.616 -3.289 4.608
Co 0.303 -0.871 2.228
Co 0.330 -4.854 7.629
O 3.205 -2.148 4.423
O 2.185 -5.137 4.261
O 0.225 -2.499 3.390
O 0.697 -3.321 6.396
O -2.786 -3.721 5.108
O -1.486 -0.397 5.960

***

<Q>
15
Lattice="4.722 5.732 0.000 -4.722 5.732 0.000 0.000 0.000 4.217" Properties=species:S:1:pos:R:3 comment="Na6MgCo2O6 | the Materials Project database | PBE with a Hubbard U | optimized geometry" m_tot_mub_per_fu=6.0 pbc="T T T"
Na -2.387 3.879 1.054
Na -2.503 6.801 3.163
Na 0.000 6.739 1.054
Na 0.000 4.827 3.163
Na 2.387 3.879 1.054
Na 2.503 6.801 3.163
Mg 0.000 11.392 1.054
Co 0.000 2.566 1.054
Co 0.000 9.098 3.163
O -3.288 4.569 3.163
O -3.290 7.073 1.054
O 0.000 4.373 1.054
O 0.000 7.269 3.163
O 3.290 7.073 1.054
O 3.288 4.569 3.163

***

<R>
15
Lattice="5.795 -0.006 -0.257 0.318 5.730 2.343 -0.345 -0.104 6.162" Properties=species:S:1:pos:R:3 comment="Na6MgCo2O6 | the Materials Project database | PBE with a Hubbard U | optimized geometry" m_tot_mub_per_fu=6.0 pbc="T T T"
Na 2.146 1.986 5.038
Na 3.623 3.633 3.210
Na 5.447 1.208 3.726
Na 0.321 4.411 4.522
Na 1.240 4.922 8.081
Na 4.529 0.698 0.168
Mg -0.186 2.761 7.334
Co 3.662 4.587 6.000
Co 2.106 1.032 2.249
O 4.381 2.789 5.325
O 1.388 2.831 2.923
O 4.624 4.353 7.706
O 1.144 1.267 0.542
O 3.928 0.219 2.257
O 1.840 5.401 5.991

***

Name the most stable of them. <P>.

***

<P>
14
Lattice="-0.001 3.030 -4.991 1.593 -2.478 -4.959 -5.184 1.413 -2.557" Properties=species:S:1:pos:R:3 comment="MgCo4NiO8 | the Materials Project database | PBE with a Hubbard U | optimized geometry" m_tot_mub_per_fu=9.9 pbc="T T T"
Mg -1.796 0.982 -6.253
Co -1.795 -0.532 -3.758
Co 0.000 0.000 0.000
Co 0.000 1.515 -2.496
Co 0.797 -1.239 -2.479
Ni 0.796 0.276 -4.975
O -3.692 1.845 -5.747
O -3.679 3.325 -8.231
O -2.705 0.646 -8.148
O -2.804 2.278 -10.606
O -0.787 -0.313 -1.900
O -0.886 1.319 -4.359
O 0.088 -1.360 -4.275
O 0.101 0.120 -6.759

***

<Q>
14
Lattice="0.133 3.051 -4.985 1.769 -2.528 -5.016 -5.038 1.485 -2.373" Properties=species:S:1:pos:R:3 comment="MgCo4NiO8 | the Materials Project database | PBE with a Hubbard U | optimized geometry" m_tot_mub_per_fu=5.5 pbc="T T T"
Mg -2.452 2.268 -3.679
Co -1.634 -0.521 -3.694
Co 0.000 0.000 0.000
Co 0.067 1.526 -2.492
Co 0.885 -1.264 -2.508
Ni 0.951 0.262 -5.000
O -3.518 1.916 -5.409
O -3.316 0.436 -3.166
O -2.415 0.744 -8.158
O -2.496 2.202 -10.409
O -0.639 -0.193 -1.964
O -0.720 1.265 -4.216
O 0.181 1.573 -9.208
O 0.383 0.092 -6.965

***

Name the most stable of them. <P>.